Entry from Materials Project: a geometry-optimized Ba14MnSb11 structure (PBE).

Symmetry ... No. 45

```
data_Ba14MnSb11
_chemical_formula_sum 'Ba56 Mn4 Sb44'
_cell_length_a 17.922
_cell_length_b 17.922
_cell_length_c 17.922
_cell_angle_alpha 94.38
_cell_angle_beta 117.50
_cell_angle_gamma 117.51
_space_group_name_H-M_alt 'P 1'
_space_group_IT_number 1
loop_
_space_group_symop_operation_xyz
'x,y,z'
loop_
_atom_site_label
_atom_site_type_symbol
_atom_site_fract_x
_atom_site_fract_y
_atom_site_fract_z
Ba1 Ba 0.144 0.750 0.893
Ba2 Ba 0.031 0.746 0.628
Ba3 Ba 0.025 0.783 0.397
Ba4 Ba 0.090 0.525 0.752
Ba5 Ba 0.354 0.979 0.875
Ba6 Ba 0.117 0.372 0.902
Ba7 Ba 0.104 0.125 0.979
Ba8 Ba 0.144 0.894 0.250
Ba9 Ba 0.146 0.625 0.521
Ba10 Ba 0.411 0.749 0.975
Ba11 Ba 0.469 0.872 0.754
Ba12 Ba 0.356 0.875 0.478
Ba13 Ba 0.356 0.606 0.750
Ba14 Ba 0.225 0.975 0.062
Ba15 Ba 0.273 0.338 0.748
Ba16 Ba 0.227 0.751 0.163
Ba17 Ba 0.105 0.479 0.125
Ba18 Ba 0.274 0.437 0.525
Ba19 Ba 0.145 0.022 0.625
Ba20 Ba 0.604 0.625 0.979
Ba21 Ba 0.089 0.064 0.337
Ba22 Ba 0.118 0.246 0.215
Ba23 Ba 0.590 0.838 0.565
Ba24 Ba 0.617 0.715 0.746
Ba25 Ba 0.357 0.252 0.607
Ba26 Ba 0.397 0.522 0.377
Ba27 Ba 0.531 0.903 0.285
Ba28 Ba 0.618 0.403 0.872
Ba29 Ba 0.385 0.603 0.128
Ba30 Ba 0.475 0.103 0.718
Ba31 Ba 0.605 0.480 0.625
Ba32 Ba 0.644 0.752 0.395
Ba33 Ba 0.385 0.283 0.257
Ba34 Ba 0.413 0.163 0.438
Ba35 Ba 0.885 0.757 0.782
Ba36 Ba 0.911 0.937 0.663
Ba37 Ba 0.397 0.375 0.019
Ba38 Ba 0.854 0.980 0.375
Ba39 Ba 0.727 0.564 0.476
Ba40 Ba 0.897 0.520 0.875
Ba41 Ba 0.774 0.249 0.837
Ba42 Ba 0.725 0.663 0.250
Ba43 Ba 0.773 0.025 0.935
Ba44 Ba 0.644 0.394 0.250
Ba45 Ba 0.646 0.125 0.521
Ba46 Ba 0.525 0.128 0.243
Ba47 Ba 0.589 0.251 0.024
Ba48 Ba 0.856 0.377 0.481
Ba49 Ba 0.856 0.106 0.750
Ba50 Ba 0.897 0.877 0.022
Ba51 Ba 0.885 0.628 0.103
Ba52 Ba 0.645 0.020 0.123
Ba53 Ba 0.913 0.475 0.250
Ba54 Ba 0.969 0.215 0.598
Ba55 Ba 0.975 0.257 0.372
Ba56 Ba 0.857 0.250 0.105
Mn1 Mn 0.250 0.125 0.875
Mn2 Mn 0.250 0.625 0.375
Mn3 Mn 0.750 0.875 0.125
Mn4 Mn 0.750 0.375 0.625
Sb1 Sb 0.122 0.936 0.820
Sb2 Sb 0.158 0.586 0.979
Sb3 Sb 0.250 0.744 0.756
Sb4 Sb 0.250 0.882 0.618
Sb5 Sb 0.107 0.428 0.585
Sb6 Sb 0.116 0.180 0.801
Sb7 Sb 0.008 0.754 0.004
Sb8 Sb 0.121 0.686 0.302
Sb9 Sb 0.343 0.521 0.915
Sb10 Sb 0.116 0.436 0.314
Sb11 Sb 0.106 0.179 0.521
Sb12 Sb 0.393 0.979 0.321
Sb13 Sb 0.379 0.680 0.565
Sb14 Sb 0.616 0.814 0.935
Sb15 Sb 0.380 0.199 0.815
Sb16 Sb 0.487 0.494 0.744
Sb17 Sb 0.385 0.699 0.320
Sb18 Sb 0.393 0.914 0.072
Sb19 Sb 0.342 0.321 0.428
Sb20 Sb 0.250 0.004 0.496
Sb21 Sb 0.264 0.382 0.132
Sb22 Sb 0.843 0.928 0.821
Sb23 Sb 0.158 0.072 0.179
Sb24 Sb 0.750 0.994 0.506
Sb25 Sb 0.764 0.632 0.882
Sb26 Sb 0.658 0.679 0.572
Sb27 Sb 0.606 0.086 0.928
Sb28 Sb 0.616 0.302 0.680
Sb29 Sb 0.508 0.504 0.254
Sb30 Sb 0.622 0.802 0.186
Sb31 Sb 0.384 0.186 0.064
Sb32 Sb 0.621 0.320 0.436
Sb33 Sb 0.607 0.021 0.679
Sb34 Sb 0.893 0.821 0.479
Sb35 Sb 0.885 0.565 0.685
Sb36 Sb 0.658 0.479 0.086
Sb37 Sb 0.879 0.314 0.699
Sb38 Sb 0.987 0.244 0.994
Sb39 Sb 0.884 0.820 0.198
Sb40 Sb 0.893 0.572 0.414
Sb41 Sb 0.750 0.132 0.368
Sb42 Sb 0.750 0.254 0.246
Sb43 Sb 0.842 0.414 0.021
Sb44 Sb 0.880 0.065 0.180
```

---

Entry from Materials Project: a geometry-optimized BaB2O9 structure (PBE).

Symmetry ... No. 14

```
data_BaB2O9
_chemical_formula_sum 'Ba4 B8 O36'
_cell_length_a 9.318
_cell_length_b 6.469
_cell_length_c 13.265
_cell_angle_alpha 81.66
_cell_angle_beta 90.00
_cell_angle_gamma 90.00
_space_group_name_H-M_alt 'P 1'
_space_group_IT_number 1
loop_
_space_group_symop_operation_xyz
'x,y,z'
loop_
_atom_site_label
_atom_site_type_symbol
_atom_site_fract_x
_atom_site_fract_y
_atom_site_fract_z
Ba1 Ba 0.518 0.876 0.703
Ba2 Ba 0.018 0.124 0.797
Ba3 Ba 0.482 0.124 0.297
Ba4 Ba 0.982 0.876 0.203
B1 B 0.855 0.858 0.632
B2 B 0.355 0.142 0.868
B3 B 0.145 0.142 0.368
B4 B 0.645 0.858 0.132
B5 B 0.285 0.750 0.509
B6 B 0.785 0.250 0.991
B7 B 0.715 0.250 0.491
B8 B 0.215 0.750 0.009
O1 O 0.957 0.005 0.591
O2 O 0.457 0.995 0.909
O3 O 0.043 0.995 0.409
O4 O 0.543 0.005 0.091
O5 O 0.813 0.876 0.731
O6 O 0.313 0.124 0.769
O7 O 0.187 0.124 0.269
O8 O 0.687 0.876 0.231
O9 O 0.785 0.698 0.599
O10 O 0.285 0.302 0.901
O11 O 0.215 0.302 0.401
O12 O 0.715 0.698 0.099
O13 O 0.096 0.566 0.700
O14 O 0.596 0.434 0.800
O15 O 0.904 0.434 0.300
O16 O 0.404 0.566 0.200
O17 O 0.293 0.922 0.568
O18 O 0.793 0.078 0.932
O19 O 0.707 0.078 0.432
O20 O 0.207 0.922 0.068
O21 O 0.384 0.807 0.428
O22 O 0.884 0.193 0.072
O23 O 0.616 0.193 0.572
O24 O 0.116 0.807 0.928
O25 O 0.143 0.687 0.484
O26 O 0.643 0.313 0.016
O27 O 0.857 0.313 0.516
O28 O 0.357 0.687 0.984
O29 O 0.372 0.610 0.581
O30 O 0.872 0.390 0.919
O31 O 0.628 0.390 0.419
O32 O 0.128 0.610 0.081
O33 O 0.172 0.672 0.749
O34 O 0.672 0.328 0.751
O35 O 0.828 0.328 0.251
O36 O 0.328 0.672 0.249
```

---

Entry from Materials Project: a geometry-optimized CeMg7 structure (PBE).

Symmetry ... No. 187

```
data_CeMg7
_chemical_formula_sum 'Ce1 Mg7'
_cell_length_a 6.755
_cell_length_b 6.755
_cell_length_c 5.207
_cell_angle_alpha 90.00
_cell_angle_beta 90.00
_cell_angle_gamma 120.00
_space_group_name_H-M_alt 'P 1'
_space_group_IT_number 1
loop_
_space_group_symop_operation_xyz
'x,y,z'
loop_
_atom_site_label
_atom_site_type_symbol
_atom_site_fract_x
_atom_site_fract_y
_atom_site_fract_z
Ce1 Ce 0.667 0.333 0.000
Mg1 Mg 0.171 0.341 0.000
Mg2 Mg 0.171 0.829 0.000
Mg3 Mg 0.659 0.829 0.000
Mg4 Mg 0.007 0.503 0.500
Mg5 Mg 0.496 0.503 0.500
Mg6 Mg 0.496 0.993 0.500
Mg7 Mg 0.000 0.000 0.500
```

---

Entry from Materials Project: a geometry-optimized KMg6Mo structure (PBE).

Energy relative to the lowest polymorph listed for this composition ... 32 meV per atom
Symmetry ... No. 187

```
data_KMg6Mo
_chemical_formula_sum 'K1 Mg6 Mo1'
_cell_length_a 6.402
_cell_length_b 6.402
_cell_length_c 5.096
_cell_angle_alpha 90.00
_cell_angle_beta 90.00
_cell_angle_gamma 120.00
_space_group_name_H-M_alt 'P 1'
_space_group_IT_number 1
loop_
_space_group_symop_operation_xyz
'x,y,z'
loop_
_atom_site_label
_atom_site_type_symbol
_atom_site_fract_x
_atom_site_fract_y
_atom_site_fract_z
K1 K 0.333 0.667 0.000
Mg1 Mg 0.849 0.699 0.000
Mg2 Mg 0.849 0.151 0.000
Mg3 Mg 0.301 0.151 0.000
Mg4 Mg 0.509 0.017 0.500
Mg5 Mg 0.509 0.491 0.500
Mg6 Mg 0.983 0.491 0.500
Mo1 Mo 0.000 0.000 0.500
```

---

Entry from Materials Project: a geometry-optimized BeI2 structure (PBE).

Energy relative to the lowest polymorph listed for this composition ... 0 meV per atom
Symmetry ... No. 72

```
data_BeI2
_chemical_formula_sum 'Be2 I4'
_cell_length_a 7.554
_cell_length_b 7.554
_cell_length_c 7.554
_cell_angle_alpha 132.01
_cell_angle_beta 128.99
_cell_angle_gamma 72.63
_space_group_name_H-M_alt 'P 1'
_space_group_IT_number 1
loop_
_space_group_symop_operation_xyz
'x,y,z'
loop_
_atom_site_label
_atom_site_type_symbol
_atom_site_fract_x
_atom_site_fract_y
_atom_site_fract_z
Be1 Be 0.000 0.750 0.750
Be2 Be 0.000 0.250 0.250
I1 I 0.904 0.109 0.795
I2 I 0.314 0.609 0.705
I3 I 0.686 0.391 0.295
I4 I 0.096 0.891 0.205
```

---

Entry from Materials Project: a geometry-optimized NbV structure (PBE).

Symmetry ... No. 65

```
data_NbV
_chemical_formula_sum 'Nb1 V1'
_cell_length_a 2.851
_cell_length_b 2.851
_cell_length_c 4.225
_cell_angle_alpha 90.00
_cell_angle_beta 90.00
_cell_angle_gamma 110.97
_space_group_name_H-M_alt 'P 1'
_space_group_IT_number 1
loop_
_space_group_symop_operation_xyz
'x,y,z'
loop_
_atom_site_label
_atom_site_type_symbol
_atom_site_fract_x
_atom_site_fract_y
_atom_site_fract_z
Nb1 Nb 0.000 0.000 0.000
V1 V 0.500 0.500 0.500
```

---

Entry from Materials Project: a geometry-optimized EuHo3 structure (PBE).

Symmetry ... No. 139

```
data_EuHo3
_chemical_formula_sum 'Eu1 Ho3'
_cell_length_a 5.987
_cell_length_b 5.987
_cell_length_c 5.987
_cell_angle_alpha 131.98
_cell_angle_beta 131.98
_cell_angle_gamma 70.26
_space_group_name_H-M_alt 'P 1'
_space_group_IT_number 1
loop_
_space_group_symop_operation_xyz
'x,y,z'
loop_
_atom_site_label
_atom_site_type_symbol
_atom_site_fract_x
_atom_site_fract_y
_atom_site_fract_z
Eu1 Eu 0.000 0.000 0.000
Ho1 Ho 0.750 0.250 0.500
Ho2 Ho 0.250 0.750 0.500
Ho3 Ho 0.500 0.500 0.000
```

---

Entry from Materials Project: a geometry-optimized Pu2Te3 structure (PBE).

Symmetry ... No. 122

```
data_Pu2Te3
_chemical_formula_sum 'Pu16 Te24'
_cell_length_a 24.168
_cell_length_b 9.292
_cell_length_c 9.292
_cell_angle_alpha 90.00
_cell_angle_beta 54.78
_cell_angle_gamma 54.78
_space_group_name_H-M_alt 'P 1'
_space_group_IT_number 1
loop_
_space_group_symop_operation_xyz
'x,y,z'
loop_
_atom_site_label
_atom_site_type_symbol
_atom_site_fract_x
_atom_site_fract_y
_atom_site_fract_z
Pu1 Pu 0.999 0.382 0.248
Pu2 Pu 0.082 0.628 0.378
Pu3 Pu 0.167 0.250 0.630
Pu4 Pu 0.252 0.872 0.122
Pu5 Pu 0.334 0.379 0.252
Pu6 Pu 0.334 0.118 0.745
Pu7 Pu 0.167 0.750 0.870
Pu8 Pu 0.499 0.255 0.621
Pu9 Pu 0.582 0.878 0.128
Pu10 Pu 0.667 0.370 0.250
Pu11 Pu 0.667 0.130 0.750
Pu12 Pu 0.499 0.748 0.882
Pu13 Pu 0.752 0.622 0.372
Pu14 Pu 0.834 0.245 0.618
Pu15 Pu 0.999 0.121 0.755
Pu16 Pu 0.834 0.752 0.879
Te1 Te 0.049 0.001 0.352
Te2 Te 0.120 0.496 0.998
Te3 Te 0.049 0.351 0.500
Te4 Te 0.284 0.149 0.148
Te5 Te 0.284 0.499 0.000
Te6 Te 0.120 0.643 0.642
Te7 Te 0.383 0.002 0.348
Te8 Te 0.213 0.857 0.502
Te9 Te 0.450 0.498 0.998
Te10 Te 0.383 0.348 0.502
Te11 Te 0.213 0.004 0.858
Te12 Te 0.620 0.142 0.143
Te13 Te 0.620 0.498 0.996
Te14 Te 0.450 0.652 0.652
Te15 Te 0.713 0.002 0.357
Te16 Te 0.549 0.852 0.501
Te17 Te 0.784 0.500 0.999
Te18 Te 0.713 0.358 0.504
Te19 Te 0.549 0.000 0.851
Te20 Te 0.950 0.152 0.152
Te21 Te 0.950 0.498 0.998
Te22 Te 0.784 0.648 0.649
Te23 Te 0.883 0.848 0.502
Te24 Te 0.883 0.002 0.848
```

---

Entry from Materials Project: a geometry-optimized MgTe2Mo2W2Se4S2 structure (PBE).

Energy relative to the lowest polymorph listed for this composition ... 7 meV per atom
Symmetry ... No. 156

```
data_MgTe2Mo2W2Se4S2
_chemical_formula_sum 'Mg1 Te2 Mo2 W2 Se4 S2'
_cell_length_a 3.335
_cell_length_b 3.335
_cell_length_c 45.500
_cell_angle_alpha 90.00
_cell_angle_beta 90.00
_cell_angle_gamma 120.00
_space_group_name_H-M_alt 'P 1'
_space_group_IT_number 1
loop_
_space_group_symop_operation_xyz
'x,y,z'
loop_
_atom_site_label
_atom_site_type_symbol
_atom_site_fract_x
_atom_site_fract_y
_atom_site_fract_z
Mg1 Mg 0.000 0.000 0.373
Te1 Te 0.667 0.333 0.052
Te2 Te 0.667 0.333 0.135
Mo1 Mo 0.333 0.667 0.094
Mo2 Mo 0.667 0.333 0.275
W1 W 0.333 0.667 0.477
W2 W 0.667 0.333 0.658
Se1 Se 0.333 0.667 0.312
Se2 Se 0.667 0.333 0.440
Se3 Se 0.667 0.333 0.514
Se4 Se 0.333 0.667 0.238
S1 S 0.333 0.667 0.691
S2 S 0.333 0.667 0.624
```

---

Entry from Materials Project: a geometry-optimized Er3Si3O10F structure (PBE).

Symmetry ... No. 14

```
data_Er3Si3O10F
_chemical_formula_sum 'Er12 Si12 O40 F4'
_cell_length_a 11.178
_cell_length_b 7.341
_cell_length_c 11.944
_cell_angle_alpha 59.76
_cell_angle_beta 90.00
_cell_angle_gamma 90.00
_space_group_name_H-M_alt 'P 1'
_space_group_IT_number 1
loop_
_space_group_symop_operation_xyz
'x,y,z'
loop_
_atom_site_label
_atom_site_type_symbol
_atom_site_fract_x
_atom_site_fract_y
_atom_site_fract_z
Er1 Er 0.402 0.805 0.497
Er2 Er 0.902 0.195 0.003
Er3 Er 0.598 0.195 0.503
Er4 Er 0.098 0.805 0.997
Er5 Er 0.271 0.595 0.811
Er6 Er 0.771 0.405 0.689
Er7 Er 0.729 0.405 0.189
Er8 Er 0.229 0.595 0.311
Er9 Er 0.031 0.745 0.518
Er10 Er 0.531 0.255 0.982
Er11 Er 0.969 0.255 0.482
Er12 Er 0.469 0.745 0.018
Si1 Si 0.086 0.284 0.741
Si2 Si 0.586 0.716 0.759
Si3 Si 0.914 0.716 0.259
Si4 Si 0.414 0.284 0.241
Si5 Si 0.244 0.122 0.110
Si6 Si 0.744 0.878 0.390
Si7 Si 0.756 0.878 0.890
Si8 Si 0.256 0.122 0.610
Si9 Si 0.037 0.286 0.209
Si10 Si 0.537 0.714 0.291
Si11 Si 0.963 0.714 0.791
Si12 Si 0.463 0.286 0.709
O1 O 0.026 0.650 0.363
O2 O 0.526 0.350 0.137
O3 O 0.974 0.350 0.637
O4 O 0.474 0.650 0.863
O5 O 0.050 0.148 0.893
O6 O 0.550 0.852 0.607
O7 O 0.950 0.852 0.107
O8 O 0.450 0.148 0.393
O9 O 0.143 0.515 0.697
O10 O 0.643 0.485 0.803
O11 O 0.857 0.485 0.303
O12 O 0.357 0.515 0.197
O13 O 0.322 0.114 0.231
O14 O 0.822 0.886 0.269
O15 O 0.678 0.886 0.769
O16 O 0.178 0.114 0.731
O17 O 0.319 0.288 0.981
O18 O 0.819 0.712 0.519
O19 O 0.681 0.712 0.019
O20 O 0.181 0.288 0.481
O21 O 0.226 0.894 0.120
O22 O 0.726 0.106 0.380
O23 O 0.774 0.106 0.880
O24 O 0.274 0.894 0.620
O25 O 0.107 0.195 0.122
O26 O 0.607 0.805 0.378
O27 O 0.893 0.805 0.878
O28 O 0.393 0.195 0.622
O29 O 0.395 0.496 0.691
O30 O 0.895 0.504 0.809
O31 O 0.605 0.504 0.309
O32 O 0.105 0.496 0.191
O33 O 0.021 0.103 0.363
O34 O 0.521 0.897 0.137
O35 O 0.979 0.897 0.637
O36 O 0.479 0.103 0.863
O37 O 0.409 0.655 0.371
O38 O 0.909 0.345 0.129
O39 O 0.591 0.345 0.629
O40 O 0.091 0.655 0.871
F1 F 0.215 0.757 0.440
F2 F 0.715 0.243 0.060
F3 F 0.785 0.243 0.560
F4 F 0.285 0.757 0.940
```

---

Entry from Materials Project: a geometry-optimized Rb2LaMgNb2O8 structure (PBE).

Energy relative to the lowest polymorph listed for this composition ... 272 meV per atom
Symmetry ... No. 99

```
data_Rb2LaMgNb2O8
_chemical_formula_sum 'Rb2 La1 Mg1 Nb2 O8'
_cell_length_a 3.980
_cell_length_b 3.980
_cell_length_c 16.631
_cell_angle_alpha 90.00
_cell_angle_beta 90.00
_cell_angle_gamma 90.00
_space_group_name_H-M_alt 'P 1'
_space_group_IT_number 1
loop_
_space_group_symop_operation_xyz
'x,y,z'
loop_
_atom_site_label
_atom_site_type_symbol
_atom_site_fract_x
_atom_site_fract_y
_atom_site_fract_z
Rb1 Rb 0.000 0.000 0.560
Rb2 Rb 0.000 0.000 0.365
La1 La 0.000 0.000 0.025
Mg1 Mg 0.000 0.000 0.797
Nb1 Nb 0.500 0.500 0.874
Nb2 Nb 0.500 0.500 0.150
O1 O 0.500 0.500 0.484
O2 O 0.500 0.500 0.760
O3 O 0.500 0.500 0.258
O4 O 0.500 0.500 0.003
O5 O 0.500 0.000 0.880
O6 O 0.000 0.500 0.880
O7 O 0.500 0.000 0.118
O8 O 0.000 0.500 0.118
```

---

Calculated calculated total energy, -429.2, -282.7, -16.5, -18.6, -17.0, -19.0, -23.4, -346.2, -83.8, -549.8, -98.2 eV for the cell shown (same order as the records).
Calculated ΔH_f (0 K), -1.08, -1.03, 0.07, 0.37, -0.83, 0.09, 0.14, -1.31, -0.54, -3.73, -2.53 eV/atom (same order as the records).